1.
The following is a PBE calculation of crystalline KCdP3O9 at its relaxed geometry, from Materials Project.

Cell: 6.9020 6.9020 10.3405 Å, 90.00 90.00 120.00°
Closest atoms and distances in Å follow each position.
Fractional coordinates of all 28 atoms:
K 0.0000 0.0000 0.0000  6 O 2.85
K 0.0000 0.0000 0.5000  6 O 2.85
Cd 0.6667 0.3333 0.0000  6 O 2.30
Cd 0.6667 0.3333 0.5000  6 O 2.30
P 0.0623 0.4417 0.2500  4 O 1.50-1.62
P 0.0623 0.6207 0.7500  4 O 1.50-1.62
P 0.3793 0.4417 0.7500  4 O 1.50-1.62
P 0.3793 0.9377 0.2500  4 O 1.50-1.62
P 0.5583 0.6207 0.2500  4 O 1.50-1.62
P 0.5583 0.9377 0.7500  4 O 1.50-1.62
O 0.1428 0.4377 0.7500  2 P 1.61-1.62
O 0.1428 0.7051 0.2500  2 P 1.61-1.62
O 0.2949 0.4377 0.2500  2 P 1.61-1.62
O 0.2949 0.8572 0.7500  2 P 1.61-1.62
O 0.3927 0.0547 0.1249  1 P 1.50
O 0.3927 0.0547 0.3751  1 P 1.50
O 0.3927 0.3380 0.6249  1 P 1.50
O 0.3927 0.3380 0.8751  1 P 1.50
O 0.5623 0.7051 0.7500  2 P 1.61-1.62
O 0.5623 0.8572 0.2500  2 P 1.61-1.62
O 0.6620 0.0547 0.6249  1 P 1.50
O 0.6620 0.0547 0.8751  1 P 1.50
O 0.6620 0.6073 0.1249  1 P 1.50
O 0.6620 0.6073 0.3751  1 P 1.50
O 0.9453 0.3380 0.1249  1 P 1.50
O 0.9453 0.3380 0.3751  1 P 1.50
O 0.9453 0.6073 0.6249  1 P 1.50
O 0.9453 0.6073 0.8751  1 P 1.50

- SG = P-6c2, No. 188
- total magnetic moment (μB per cell) = 0.00
- energy of formation (meV/atom) = -2545
- piezoelectric modulus e_max (C/m2) = 0.02


2.
The following is a PBE calculation of crystalline NaZnF3 at its relaxed geometry, from Materials Project.

Cell: 5.6840 7.8914 5.4901 Å, 90.00 90.00 90.00°
Closest atoms and distances in Å follow each position.
Fractional coordinates of all 20 atoms:
Na 0.0569 0.2500 0.0160  4 F 2.31-2.39
Na 0.4431 0.7500 0.5160  4 F 2.31-2.39
Na 0.5569 0.2500 0.4840  4 F 2.31-2.39
Na 0.9431 0.7500 0.9840  4 F 2.31-2.39
Zn 0.0000 0.0000 0.5000  6 F 2.06-2.07
Zn 0.0000 0.5000 0.5000  6 F 2.06-2.07
Zn 0.5000 0.0000 0.0000  6 F 2.06-2.07
Zn 0.5000 0.5000 0.0000  6 F 2.06-2.07
F 0.0398 0.7500 0.3921  2 Zn 2.07, 1 Na 2.31
F 0.2007 0.5566 0.8029  2 Zn 2.06-2.07
F 0.2007 0.9434 0.8029  2 Zn 2.06-2.07
F 0.2993 0.0566 0.3029  2 Zn 2.06-2.07
F 0.2993 0.4434 0.3029  2 Zn 2.06-2.07
F 0.4602 0.2500 0.8921  2 Zn 2.07, 1 Na 2.31
F 0.5398 0.7500 0.1079  2 Zn 2.07, 1 Na 2.31
F 0.7007 0.5566 0.6971  2 Zn 2.06-2.07
F 0.7007 0.9434 0.6971  2 Zn 2.06-2.07
F 0.7993 0.0566 0.1971  2 Zn 2.06-2.07
F 0.7993 0.4434 0.1971  2 Zn 2.06-2.07
F 0.9602 0.2500 0.6079  2 Zn 2.07, 1 Na 2.31

- SG = Pnma, No. 62
- energy of formation (meV/atom) = -2767


3.
The following is a PBE calculation of crystalline K2ReBr6 at its relaxed geometry, from Materials Project.

Cell: 7.5562 7.5562 7.5562 Å, 60.00 60.00 60.00°
Closest atoms and distances in Å follow each position.
Fractional coordinates of all 9 atoms:
K 0.2500 0.2500 0.2500  12 Br 3.78
K 0.7500 0.7500 0.7500  12 Br 3.78
Re 0.0000 0.0000 0.0000  6 Br 2.54
Br 0.2374 0.2374 0.7626  1 Re 2.54
Br 0.2374 0.7626 0.2374  1 Re 2.54
Br 0.2374 0.7626 0.7626  1 Re 2.54
Br 0.7626 0.2374 0.2374  1 Re 2.54
Br 0.7626 0.2374 0.7626  1 Re 2.54
Br 0.7626 0.7626 0.2374  1 Re 2.54

- SG = Fm-3m, No. 225
- energy of formation (meV/atom) = -1341


Copy entry 2 word for word.
The following is a PBE calculation of crystalline NaZnF3 at its relaxed geometry, from Materials Project.

Cell: 5.6840 7.8914 5.4901 Å, 90.00 90.00 90.00°
Closest atoms and distances in Å follow each position.
Fractional coordinates of all 20 atoms:
Na 0.0569 0.2500 0.0160  4 F 2.31-2.39
Na 0.4431 0.7500 0.5160  4 F 2.31-2.39
Na 0.5569 0.2500 0.4840  4 F 2.31-2.39
Na 0.9431 0.7500 0.9840  4 F 2.31-2.39
Zn 0.0000 0.0000 0.5000  6 F 2.06-2.07
Zn 0.0000 0.5000 0.5000  6 F 2.06-2.07
Zn 0.5000 0.0000 0.0000  6 F 2.06-2.07
Zn 0.5000 0.5000 0.0000  6 F 2.06-2.07
F 0.0398 0.7500 0.3921  2 Zn 2.07, 1 Na 2.31
F 0.2007 0.5566 0.8029  2 Zn 2.06-2.07
F 0.2007 0.9434 0.8029  2 Zn 2.06-2.07
F 0.2993 0.0566 0.3029  2 Zn 2.06-2.07
F 0.2993 0.4434 0.3029  2 Zn 2.06-2.07
F 0.4602 0.2500 0.8921  2 Zn 2.07, 1 Na 2.31
F 0.5398 0.7500 0.1079  2 Zn 2.07, 1 Na 2.31
F 0.7007 0.5566 0.6971  2 Zn 2.06-2.07
F 0.7007 0.9434 0.6971  2 Zn 2.06-2.07
F 0.7993 0.0566 0.1971  2 Zn 2.06-2.07
F 0.7993 0.4434 0.1971  2 Zn 2.06-2.07
F 0.9602 0.2500 0.6079  2 Zn 2.07, 1 Na 2.31

- SG = Pnma, No. 62
- energy of formation (meV/atom) = -2767